Material: Tm3Pd4
Method: DFT, r2SCAN
State: optimized geometry

Output
Mass density ... 11.28 g cm⁻³
E_form ... -1008 meV per atom
VASP energy ... -408.524 eV/cell

a = 7.714 Å, b = 7.714 Å, c = 7.714 Å
α = 114.21°, β = 114.21°, γ = 114.21°
Fractional positions:
1 Tm 0.024 0.405 0.275
2 Tm 0.275 0.024 0.405
3 Tm 0.405 0.275 0.024
4 Tm 0.595 0.725 0.976
5 Tm 0.725 0.976 0.595
6 Tm 0.976 0.595 0.725
7 Pd 0.000 0.000 0.000
8 Pd 0.064 0.229 0.548
9 Pd 0.229 0.548 0.064
10 Pd 0.452 0.936 0.771
11 Pd 0.500 0.500 0.500
12 Pd 0.548 0.064 0.229
13 Pd 0.771 0.452 0.936
14 Pd 0.936 0.771 0.452


Material: Ti2CoIr
Method: DFT, r2SCAN
State: optimized geometry

Output
Mass density ... 10.09 g cm⁻³
E_form ... -744 meV per atom
VASP energy ... -94.446 eV/cell

a = 4.322 Å, b = 4.322 Å, c = 4.322 Å
α = 60.00°, β = 60.00°, γ = 60.00°
Fractional positions:
1 Ti 0.250 0.250 0.250
2 Ti 0.750 0.750 0.750
3 Co 0.000 0.000 0.000
4 Ir 0.500 0.500 0.500


Material: RbPbBr3
Method: DFT, r2SCAN
State: optimized geometry

Output
Mass density ... 4.81 g cm⁻³
E_form ... -1466 meV per atom
VASP energy ... -234.644 eV/cell

a = 4.458 Å, b = 11.228 Å, c = 7.677 Å
α = 90.00°, β = 106.85°, γ = 90.00°
Fractional positions:
1 Rb 0.250 0.000 0.000
2 Rb 0.750 0.500 0.000
3 Pb 0.001 0.250 0.500
4 Pb 0.999 0.750 0.500
5 Br 0.075 0.500 0.646
6 Br 0.362 0.697 0.225
7 Br 0.364 0.304 0.226
8 Br 0.636 0.804 0.774
9 Br 0.638 0.197 0.775
10 Br 0.925 0.000 0.354


Material: TbCdPd
Method: DFT, r2SCAN
State: optimized geometry

Output
Mass density ... 9.65 g cm⁻³
E_form ... -735 meV per atom
VASP energy ... -229.491 eV/cell

a = 7.563 Å, b = 7.563 Å, c = 3.936 Å
α = 90.00°, β = 90.00°, γ = 120.00°
Fractional positions:
1 Tb 0.000 0.596 0.000
2 Tb 0.404 0.404 0.000
3 Tb 0.596 0.000 0.000
4 Cd 0.000 0.257 0.500
5 Cd 0.257 0.000 0.500
6 Cd 0.743 0.743 0.500
7 Pd 0.000 0.000 0.000
8 Pd 0.333 0.667 0.500
9 Pd 0.667 0.333 0.500


Material: CsLi2Cl3
Method: DFT, r2SCAN
State: optimized geometry

Output
Mass density ... 2.89 g cm⁻³
E_form ... -2077 meV per atom
VASP energy ... -60.800 eV/cell

a = 7.051 Å, b = 7.051 Å, c = 7.051 Å
α = 142.37°, β = 136.77°, γ = 58.63°
Fractional positions:
1 Cs 0.000 0.000 0.000
2 Li 0.308 0.308 0.000
3 Li 0.692 0.692 0.000
4 Cl 0.230 0.730 0.500
5 Cl 0.500 0.500 0.000
6 Cl 0.770 0.270 0.500


Material: LuAl7Fe5
Method: DFT, r2SCAN
State: optimized geometry

Output
Mass density ... 5.77 g cm⁻³
E_form ... -364 meV per atom
VASP energy ... -162.007 eV/cell

a = 6.589 Å, b = 6.589 Å, c = 6.589 Å
α = 135.70°, β = 98.19°, γ = 98.16°
Fractional positions:
1 Lu 0.000 0.000 0.000
2 Al 0.207 0.499 0.709
3 Al 0.331 0.988 0.343
4 Al 0.334 0.334 0.000
5 Al 0.646 0.988 0.657
6 Al 0.655 0.655 0.000
7 Al 0.769 0.269 0.500
8 Al 0.790 0.499 0.291
9 Fe 0.229 0.729 0.500
10 Fe 0.493 0.493 0.499
11 Fe 0.493 0.994 0.001
12 Fe 0.994 0.493 0.999
13 Fe 0.994 0.994 0.501


Material: PrY
Method: DFT, r2SCAN
State: optimized geometry

Output
Relative energy among the computed polymorphs ... 0 meV/atom
Mass density ... 5.43 g cm⁻³
E_form ... 17 meV per atom
VASP energy ... -149.049 eV/cell

a = 17.992 Å, b = 17.992 Å, c = 17.992 Å
α = 11.77°, β = 11.77°, γ = 11.77°
Fractional positions:
1 Pr 0.000 0.000 0.000
2 Pr 0.111 0.111 0.111
3 Pr 0.502 0.502 0.502
4 Y 0.389 0.389 0.389
5 Y 0.611 0.611 0.611
6 Y 0.890 0.890 0.890


Material: YbIr
Method: DFT, r2SCAN
State: optimized geometry

Output
Mass density ... 16.23 g cm⁻³
E_form ... -1138 meV per atom
VASP energy ... -91.165 eV/cell

a = 3.344 Å, b = 3.344 Å, c = 3.344 Å
α = 90.00°, β = 90.00°, γ = 90.00°
Fractional positions:
1 Yb 0.000 0.000 0.000
2 Ir 0.500 0.500 0.500


Material: UCr6P4
Method: DFT, r2SCAN
State: optimized geometry

Output
Relative energy among the computed polymorphs ... 0 meV/atom
Mass density ... 7.61 g cm⁻³
E_form ... -498 meV per atom
VASP energy ... -211.871 eV/cell

a = 7.002 Å, b = 7.002 Å, c = 3.464 Å
α = 90.00°, β = 90.00°, γ = 120.00°
Fractional positions:
1 U 0.000 0.000 0.000
2 Cr 0.072 0.536 0.000
3 Cr 0.406 0.203 0.500
4 Cr 0.464 0.536 0.000
5 Cr 0.464 0.928 0.000
6 Cr 0.797 0.203 0.500
7 Cr 0.797 0.594 0.500
8 P 0.186 0.372 0.500
9 P 0.186 0.814 0.500
10 P 0.628 0.814 0.500
11 P 0.667 0.333 0.000


Material: Dy4CdIr
Method: DFT, r2SCAN
State: optimized geometry

Output
Mass density ... 10.20 g cm⁻³
E_form ... -598 meV per atom
VASP energy ... -815.923 eV/cell

a = 9.580 Å, b = 9.580 Å, c = 9.580 Å
α = 60.00°, β = 60.00°, γ = 60.00°
Fractional positions:
1 Dy 0.188 0.188 0.812
2 Dy 0.188 0.812 0.188
3 Dy 0.188 0.812 0.812
4 Dy 0.401 0.401 0.401
5 Dy 0.401 0.401 0.796
6 Dy 0.401 0.796 0.401
7 Dy 0.560 0.560 0.940
8 Dy 0.560 0.940 0.560
9 Dy 0.560 0.940 0.940
10 Dy 0.796 0.401 0.401
11 Dy 0.812 0.188 0.188
12 Dy 0.812 0.188 0.812
13 Dy 0.812 0.812 0.188
14 Dy 0.940 0.560 0.560
15 Dy 0.940 0.560 0.940
16 Dy 0.940 0.940 0.560
17 Cd 0.170 0.170 0.170
18 Cd 0.170 0.170 0.491
19 Cd 0.170 0.491 0.170
20 Cd 0.491 0.170 0.170
21 Ir 0.174 0.609 0.609
22 Ir 0.609 0.174 0.609
23 Ir 0.609 0.609 0.174
24 Ir 0.609 0.609 0.609


Material: BaH4O6
Method: DFT, r2SCAN
State: optimized geometry

Output
Mass density ... 3.34 g cm⁻³
E_form ... -1081 meV per atom
VASP energy ... -176.082 eV/cell

a = 4.973 Å, b = 5.708 Å, c = 9.640 Å
α = 89.43°, β = 75.07°, γ = 64.18°
Fractional positions:
1 Ba 0.214 0.250 0.250
2 Ba 0.786 0.750 0.750
3 H 0.135 0.815 0.015
4 H 0.260 0.955 0.574
5 H 0.289 0.544 0.926
6 H 0.463 0.685 0.485
7 H 0.537 0.315 0.515
8 H 0.711 0.456 0.074
9 H 0.740 0.045 0.426
10 H 0.865 0.185 0.985
11 O 0.045 0.266 0.579
12 O 0.200 0.735 0.321
13 O 0.225 0.734 0.915
14 O 0.245 0.234 0.821
15 O 0.374 0.766 0.585
16 O 0.390 0.233 0.921
17 O 0.610 0.767 0.079
18 O 0.626 0.234 0.415
19 O 0.755 0.766 0.179
20 O 0.775 0.266 0.085
21 O 0.800 0.265 0.679
22 O 0.955 0.734 0.421


Material: Mn3TeO6
Method: DFT, r2SCAN
State: optimized geometry

Output
Mass density ... 5.33 g cm⁻³
E_form ... -1759 meV per atom
VASP energy ... -245.787 eV/cell

a = 6.230 Å, b = 6.230 Å, c = 6.230 Å
α = 90.55°, β = 90.55°, γ = 90.55°
Fractional positions:
1 Mn 0.050 0.561 0.748
2 Mn 0.252 0.950 0.439
3 Mn 0.439 0.252 0.950
4 Mn 0.561 0.748 0.050
5 Mn 0.748 0.050 0.561
6 Mn 0.950 0.439 0.252
7 Te 0.000 0.000 0.000
8 Te 0.500 0.500 0.500
9 O 0.045 0.916 0.705
10 O 0.084 0.295 0.955
11 O 0.205 0.569 0.435
12 O 0.295 0.955 0.084
13 O 0.431 0.565 0.795
14 O 0.435 0.205 0.569
15 O 0.565 0.795 0.431
16 O 0.569 0.435 0.205
17 O 0.705 0.045 0.916
18 O 0.795 0.431 0.565
19 O 0.916 0.705 0.045
20 O 0.955 0.084 0.295